Record 1
# NaTaWO6 (PBE+U, relaxed)
# - Total magnetic moment: 0.000 μB per atom
# - Energy with MP2020 corrections: -0.6525 Ry per atom
data_NaTaWO6
_chemical_formula_sum 'Na4 Ta4 W4 O24'
_space_group_name_H-M_alt 'I m m a'
_space_group_IT_number 74
_space_group_name_Hall '-I 2b 2'
_cell_length_a 7.380
_cell_length_b 7.427
_cell_length_c 10.478
_cell_angle_alpha 90.00
_cell_angle_beta 90.00
_cell_angle_gamma 90.00
loop_
_atom_site_label
_atom_site_type_symbol
_atom_site_fract_x
_atom_site_fract_y
_atom_site_fract_z
_atom_site_occupancy
Na1 Na 0.000 0.000 0.000 1
Ta1 Ta 0.250 0.250 0.250 1
W1 W 0.000 0.000 0.500 1
O1 O 0.000 0.250 0.180 1
O2 O 0.000 0.250 0.558 1
O3 O 0.187 0.063 0.379 1



Record 2
# Na3TbV2O8 (PBE+U, relaxed)
# - Total magnetic moment: 0.000 μB per atom
# - Energy with MP2020 corrections: -0.5448 Ry per atom
data_Na3TbV2O8
_chemical_formula_sum 'Na36 Tb12 V24 O96'
_space_group_name_H-M_alt 'C 1 c 1'
_space_group_IT_number 9
_space_group_name_Hall 'C -2yc'
_cell_length_a 29.192
_cell_length_b 5.639
_cell_length_c 14.276
_cell_angle_alpha 90.00
_cell_angle_beta 91.56
_cell_angle_gamma 90.00
loop_
_atom_site_label
_atom_site_type_symbol
_atom_site_fract_x
_atom_site_fract_y
_atom_site_fract_z
_atom_site_occupancy
Na1 Na 0.000 0.001 0.000 1
Na2 Na 0.068 0.499 0.055 1
Na3 Na 0.126 0.016 0.912 1
Na4 Na 0.190 0.484 0.473 1
Na5 Na 0.227 0.003 0.092 1
Na6 Na 0.291 0.455 0.318 1
Na7 Na 0.346 0.006 0.236 1
Na8 Na 0.400 0.444 0.658 1
Na9 Na 0.467 0.010 0.377 1
Tb1 Tb 0.021 0.040 0.254 1
Tb2 Tb 0.170 0.460 0.218 1
Tb3 Tb 0.346 0.095 0.983 1
V1 V 0.075 0.489 0.832 1
V2 V 0.116 0.004 0.637 1
V3 V 0.234 0.030 0.840 1
V4 V 0.289 0.453 0.584 1
V5 V 0.403 0.457 0.391 1
V6 V 0.457 0.031 0.130 1
O1 O 0.045 0.278 0.384 1
O2 O 0.050 0.223 0.867 1
O3 O 0.058 0.001 0.107 1
O4 O 0.072 0.478 0.214 1
O5 O 0.118 0.046 0.255 1
O6 O 0.133 0.492 0.863 1
O7 O 0.142 0.272 0.606 1
O8 O 0.145 0.228 0.084 1
O9 O 0.204 0.061 0.436 1
O10 O 0.218 0.150 0.245 1
O11 O 0.221 0.327 0.813 1
O12 O 0.231 0.464 0.616 1
O13 O 0.293 0.014 0.360 1
O14 O 0.293 0.403 0.977 1
O15 O 0.305 0.150 0.578 1
O16 O 0.323 0.386 0.161 1
O17 O 0.368 0.365 0.821 1
O18 O 0.387 0.155 0.390 1
O19 O 0.398 0.013 0.609 1
O20 O 0.399 0.413 0.001 1
O21 O 0.460 0.469 0.358 1
O22 O 0.470 0.326 0.162 1
O23 O 0.472 0.156 0.724 1
O24 O 0.488 0.052 0.534 1



Record 3
# Na3TbV2O8 (PBE+U, relaxed)
# - Total magnetic moment: 0.000 μB per atom
# - Energy with MP2020 corrections: -0.5412 Ry per atom
data_Na3TbV2O8
_chemical_formula_sum 'Na3 Tb1 V2 O8'
_space_group_name_H-M_alt 'P -3 m 1'
_space_group_IT_number 164
_space_group_name_Hall '-P 3 2"'
_cell_length_a 5.9209
_cell_length_b 5.9209
_cell_length_c 7.1705
_cell_angle_alpha 90.00
_cell_angle_beta 90.00
_cell_angle_gamma 120.00
loop_
_atom_site_label
_atom_site_type_symbol
_atom_site_fract_x
_atom_site_fract_y
_atom_site_fract_z
_atom_site_occupancy
Na1 Na 0.0000 0.0000 0.0000 1
Na2 Na 0.3333 0.6667 0.6805 1
Tb1 Tb 0.0000 0.0000 0.5000 1
V1 V 0.3333 0.6667 0.2190 1
O1 O 0.1733 0.3467 0.3083 1
O2 O 0.3333 0.6667 0.9850 1



Record 4
# Na2TbWO6 (PBE+U, relaxed)
# - Energy with MP2020 corrections: -0.5485 Ry per atom
data_Na2TbWO6
_chemical_formula_sum 'Na8 Tb4 W4 O24'
_space_group_name_H-M_alt 'F m -3 m'
_space_group_IT_number 225
_space_group_name_Hall '-F 4 2 3'
_cell_length_a 8.370
_cell_length_b 8.370
_cell_length_c 8.370
_cell_angle_alpha 90.00
_cell_angle_beta 90.00
_cell_angle_gamma 90.00
loop_
_atom_site_label
_atom_site_type_symbol
_atom_site_fract_x
_atom_site_fract_y
_atom_site_fract_z
_atom_site_occupancy
Na1 Na 0.250 0.250 0.250 1
Tb1 Tb 0.000 0.000 0.000 1
W1 W 0.000 0.000 0.500 1
O1 O 0.000 0.000 0.268 1



Record 5
# Na6TeW6O46 (PBE+U, relaxed)
# - Total magnetic moment: 0.136 μB per atom
# - Energy with MP2020 corrections: -0.4521 Ry per atom
data_Na6TeW6O46
_chemical_formula_sum 'Na6 Te1 W6 O46'
_space_group_name_H-M_alt 'P -1'
_space_group_IT_number 2
_space_group_name_Hall '-P 1'
_cell_length_a 9.505
_cell_length_b 9.776
_cell_length_c 11.234
_cell_angle_alpha 81.20
_cell_angle_beta 84.18
_cell_angle_gamma 69.68
loop_
_atom_site_label
_atom_site_type_symbol
_atom_site_fract_x
_atom_site_fract_y
_atom_site_fract_z
_atom_site_occupancy
Na1 Na 0.146 0.071 0.418 1
Na2 Na 0.297 0.036 0.080 1
Na3 Na 0.309 0.556 0.705 1
Te1 Te 0.000 0.500 0.500 1
W1 W 0.023 0.319 0.785 1
W2 W 0.286 0.395 0.286 1
W3 W 0.305 0.215 0.574 1
O1 O 0.012 0.735 0.852 1
O2 O 0.029 0.452 0.334 1
O3 O 0.038 0.382 0.920 1
O4 O 0.042 0.132 0.828 1
O5 O 0.045 0.130 0.160 1
O6 O 0.050 0.295 0.572 1
O7 O 0.132 0.822 0.586 1
O8 O 0.194 0.603 0.233 1
O9 O 0.197 0.779 0.481 1
O10 O 0.221 0.457 0.489 1
O11 O 0.233 0.302 0.724 1
O12 O 0.285 0.313 0.156 1
O13 O 0.289 0.774 0.891 1
O14 O 0.297 0.036 0.612 1
O15 O 0.297 0.216 0.401 1
O16 O 0.306 0.658 0.486 1
O17 O 0.335 0.878 0.881 1
O18 O 0.354 0.951 0.291 1
O19 O 0.413 0.268 0.882 1
O20 O 0.452 0.136 0.944 1
O21 O 0.473 0.394 0.289 1
O22 O 0.481 0.699 0.181 1
O23 O 0.499 0.201 0.586 1



Record 6
# Na2Te4WO12 (PBE+U, relaxed)
# - Total magnetic moment: 0.000 μB per atom
# - Energy with MP2020 corrections: -0.4699 Ry per atom
data_Na2Te4WO12
_chemical_formula_sum 'Na8 Te16 W4 O48'
_space_group_name_H-M_alt 'C 1 2/c 1'
_space_group_IT_number 15
_space_group_name_Hall '-C 2yc'
_cell_length_a 17.541
_cell_length_b 5.880
_cell_length_c 11.466
_cell_angle_alpha 90.00
_cell_angle_beta 104.88
_cell_angle_gamma 90.00
loop_
_atom_site_label
_atom_site_type_symbol
_atom_site_fract_x
_atom_site_fract_y
_atom_site_fract_z
_atom_site_occupancy
Na1 Na 0.212 0.228 0.266 1
Te1 Te 0.094 0.215 0.599 1
Te2 Te 0.157 0.329 0.936 1
W1 W 0.000 0.340 0.250 1
O1 O 0.012 0.381 0.636 1
O2 O 0.024 0.143 0.142 1
O3 O 0.111 0.394 0.338 1
O4 O 0.159 0.152 0.755 1
O5 O 0.163 0.483 0.590 1
O6 O 0.241 0.074 0.071 1



Question: Which of these has the lowest energy with MP2020 corrections?
Answer: NaTaWO6